a:
VASP calculation (GGA+U) on a geometry-optimized LiV2C4O12 structure.

```
LiV2C4O12
1.0
0.314 3.898 4.652
3.423 -6.231 4.990
7.672 3.967 -0.309
C V O Li
8 4 24 2
Direct
0.711 0.093 0.784
0.711 0.593 0.284
0.789 0.093 0.216
0.297 0.905 0.209
0.789 0.593 0.716
0.297 0.405 0.709
0.203 0.405 0.291
0.203 0.905 0.791
0.750 0.807 0.000
0.250 0.697 0.500
0.750 0.307 0.500
0.250 0.197 0.000
0.933 0.691 0.615
0.100 0.296 0.391
0.827 0.137 0.641
0.673 0.137 0.359
0.827 0.637 0.141
0.933 0.191 0.115
0.207 0.879 0.364
0.567 0.191 0.885
0.287 0.545 0.663
0.293 0.879 0.636
0.400 0.296 0.609
0.213 0.045 0.837
0.767 0.458 0.667
0.207 0.379 0.864
0.287 0.045 0.163
0.100 0.796 0.891
0.400 0.796 0.109
0.567 0.691 0.385
0.733 0.458 0.333
0.673 0.637 0.859
0.293 0.379 0.136
0.767 0.958 0.167
0.733 0.958 0.833
0.213 0.545 0.337
0.250 0.099 0.500
0.250 0.599 0.000
```

calculated volume	11.4	Å³/atom
ρ	2.67	g cm⁻³

b:
VASP calculation (GGA+U) on a geometry-optimized LiV2C4O12 structure.

```
LiV2C4O12
1.0
-3.968 -4.799 -4.816
5.104 -4.545 4.127
-5.953 1.964 5.872
V Li C O
4 2 8 24
Direct
0.794 0.536 0.939
0.713 0.258 0.449
0.287 0.742 0.551
0.206 0.464 0.061
0.795 0.983 0.184
0.205 0.017 0.816
0.944 0.665 0.687
0.056 0.335 0.313
0.462 0.849 0.280
0.994 0.267 0.767
0.532 0.368 0.243
0.006 0.733 0.233
0.538 0.151 0.720
0.468 0.632 0.757
0.588 0.997 0.280
0.527 0.689 0.641
0.412 0.003 0.720
0.449 0.820 0.420
0.449 0.430 0.139
0.551 0.180 0.580
0.989 0.422 0.858
0.011 0.578 0.142
0.925 0.223 0.350
0.640 0.268 0.861
0.872 0.776 0.153
0.360 0.732 0.139
0.473 0.311 0.359
0.084 0.281 0.172
0.887 0.175 0.624
0.306 0.644 0.757
0.128 0.224 0.847
0.916 0.719 0.828
0.551 0.570 0.861
0.075 0.777 0.650
0.694 0.356 0.243
0.156 0.492 0.418
0.113 0.825 0.376
0.844 0.507 0.582
```

calculated volume	12.7	Å³/atom
space-group type	P-1
ρ	2.40	g cm⁻³
crystal system	triclinic

Relative stability in meV per atom, measured from the most stable structure: a 0; b 36

a:
VASP calculation (GGA+U) on a geometry-optimized LiV2C4O12 structure.

```
LiV2C4O12
1.0
6.827 4.218 3.135
-6.866 4.944 1.623
-0.318 -7.758 3.734
O V C Li
24 4 8 2
Direct
0.953 0.946 0.857
0.201 0.946 0.038
0.408 0.164 0.462
0.030 0.348 0.457
0.606 0.758 0.560
0.609 0.192 0.152
0.698 0.046 0.940
0.391 0.574 0.043
0.473 0.869 0.960
0.027 0.988 0.396
0.092 0.554 0.756
0.409 0.512 0.540
0.109 0.152 0.182
0.547 0.404 0.993
0.299 0.336 0.744
0.959 0.308 0.916
0.541 0.457 0.348
0.589 0.096 0.643
0.091 0.631 0.104
0.894 0.454 0.152
0.470 0.926 0.318
0.891 0.043 0.584
0.911 0.554 0.507
0.802 0.742 0.348
0.218 0.250 0.468
0.769 0.019 0.750
0.282 0.750 0.032
0.731 0.481 0.250
0.911 0.926 0.444
0.518 0.574 0.484
0.589 0.033 0.016
0.014 0.487 0.570
0.417 0.444 0.930
0.486 0.056 0.473
0.982 0.467 0.056
0.083 0.013 0.027
0.067 0.317 0.750
0.433 0.183 0.250
```

calculated volume	12.9	Å³/atom
space-group type	I2_12_12_1
ρ	2.37	g cm⁻³
crystal system	orthorhombic

b:
VASP calculation (GGA+U) on a geometry-optimized LiV2C4O12 structure.

```
LiV2C4O12
1.0
3.153 3.321 3.449
0.032 -7.364 3.480
6.333 -0.136 -1.480
O C V Li
12 4 2 1
Direct
0.607 0.409 0.818
0.017 0.283 0.418
0.095 0.943 0.684
0.240 0.847 0.077
0.409 0.159 0.016
0.794 0.742 0.592
0.221 0.236 0.820
0.132 0.670 0.608
0.004 0.577 0.200
0.837 0.071 0.234
0.847 0.762 0.077
0.643 0.280 0.396
0.024 0.720 0.121
0.004 0.784 0.631
0.420 0.276 0.882
0.833 0.209 0.346
0.094 0.000 0.980
0.865 0.498 0.516
0.263 0.184 0.488
```

calculated volume	14.2	Å³/atom
space-group type	P1
ρ	2.15	g cm⁻³
crystal system	triclinic

c:
VASP calculation (GGA+U) on a geometry-optimized LiV2C4O12 structure.

```
LiV2C4O12
1.0
-2.174 -3.639 -4.058
7.702 1.186 -5.390
3.959 -4.247 4.819
Li O C V
2 24 8 4
Direct
0.500 0.750 0.500
0.500 0.250 0.500
0.881 0.326 0.617
0.177 0.300 0.882
0.119 0.174 0.383
0.501 0.135 0.773
0.994 0.890 0.273
0.609 0.921 0.897
0.823 0.200 0.118
0.882 0.826 0.617
0.006 0.611 0.727
0.823 0.700 0.118
0.648 0.061 0.386
0.352 0.439 0.614
0.118 0.674 0.383
0.177 0.800 0.882
0.994 0.390 0.273
0.391 0.080 0.103
0.391 0.579 0.103
0.648 0.561 0.386
0.006 0.110 0.727
0.353 0.939 0.614
0.501 0.635 0.774
0.499 0.865 0.226
0.609 0.420 0.897
0.499 0.365 0.227
0.981 0.255 0.261
0.487 0.997 0.762
0.019 0.245 0.739
0.019 0.745 0.739
0.981 0.755 0.261
0.513 0.503 0.238
0.487 0.497 0.762
0.513 0.003 0.238
0.000 0.000 0.500
0.500 0.750 0.000
0.500 0.250 0.000
0.000 0.500 0.500
```

calculated volume	10.6	Å³/atom
ρ	2.88	g cm⁻³

Relative stability in meV per atom, measured from the most stable structure: a 6; b 30; c 0

a:
VASP calculation (GGA+U) on a geometry-optimized Li3V2C4O12 structure.

```
Li3V2C4O12
1.0
-6.362 0.020 0.117
0.140 6.360 0.117
3.072 -3.150 -11.720
O V Li C
24 4 6 8
Direct
0.690 0.078 0.204
0.495 0.773 0.576
0.690 0.079 0.704
0.227 0.505 0.175
0.777 0.849 0.367
0.921 0.310 0.546
0.306 0.922 0.310
0.211 0.145 0.127
0.211 0.145 0.627
0.756 0.492 0.849
0.779 0.850 0.868
0.855 0.789 0.623
0.078 0.693 0.940
0.307 0.922 0.810
0.227 0.505 0.675
0.921 0.310 0.046
0.855 0.789 0.123
0.151 0.223 0.383
0.508 0.243 0.401
0.150 0.222 0.882
0.757 0.492 0.349
0.495 0.773 0.075
0.508 0.244 0.901
0.078 0.694 0.440
0.189 0.811 0.125
0.189 0.811 0.625
0.830 0.170 0.375
0.829 0.171 0.875
0.494 0.320 0.224
0.679 0.505 0.027
0.317 0.683 0.875
0.680 0.506 0.526
0.316 0.683 0.375
0.494 0.321 0.723
0.875 0.682 0.386
0.683 0.882 0.635
0.118 0.317 0.115
0.318 0.125 0.364
0.682 0.882 0.134
0.319 0.124 0.865
0.118 0.318 0.616
0.876 0.682 0.885
```

calculated volume	11.2	Å³/atom
space-group type	C2
ρ	2.57	g cm⁻³
crystal system	monoclinic

b:
VASP calculation (GGA+U) on a geometry-optimized Li3V2C4O12 structure.

```
Li3V2C4O12
1.0
-1.959 -2.172 -4.479
-1.012 4.305 -4.753
6.668 -2.352 -4.777
O Li C V
12 3 4 2
Direct
0.561 0.949 0.212
0.702 0.080 0.794
0.132 0.074 0.753
0.952 0.396 0.255
0.749 0.339 0.069
0.176 0.650 0.939
0.910 0.196 0.550
0.647 0.817 0.455
0.980 0.889 0.246
0.262 0.560 0.672
0.491 0.472 0.322
0.594 0.607 0.748
0.254 0.530 0.152
0.154 0.062 0.326
0.540 0.933 0.690
0.737 0.400 0.208
0.729 0.885 0.305
0.339 0.606 0.793
0.917 0.117 0.699
0.637 0.505 0.509
0.882 0.996 0.998
```

piezoelectric modulus e_max	0.49	C/m2
calculated volume	12.4	Å³/atom
space-group type	P1
ρ	2.32	g cm⁻³
crystal system	triclinic

c:
VASP calculation (GGA+U) on a geometry-optimized Li3V2C4O12 structure.

```
Li3V2C4O12
1.0
-9.096 2.933 1.840
-2.095 -5.735 -1.217
0.805 -2.192 7.473
O C V Li
24 8 4 6
Direct
0.818 0.602 0.057
0.627 0.447 0.946
0.124 0.555 0.455
0.133 0.032 0.376
0.633 0.968 0.624
0.817 0.255 0.019
0.097 0.072 0.092
0.434 0.066 0.737
0.660 0.970 0.275
0.160 0.030 0.725
0.597 0.928 0.908
0.817 0.287 0.447
0.941 0.956 0.669
0.441 0.044 0.331
0.127 0.553 0.054
0.318 0.398 0.943
0.503 0.707 0.260
0.624 0.445 0.545
0.934 0.934 0.263
0.003 0.293 0.740
0.820 0.634 0.495
0.320 0.366 0.505
0.317 0.713 0.553
0.317 0.745 0.981
0.032 0.101 0.709
0.059 0.016 0.244
0.749 0.453 0.498
0.749 0.434 0.005
0.249 0.566 0.995
0.249 0.547 0.502
0.532 0.899 0.291
0.559 0.984 0.756
0.797 0.965 0.476
0.782 0.930 0.050
0.297 0.035 0.524
0.282 0.070 0.950
0.990 0.593 0.633
0.990 0.596 0.257
0.507 0.669 0.014
0.490 0.404 0.743
0.007 0.331 0.986
0.490 0.407 0.367
```

calculated volume	11.3	Å³/atom
space-group type	P2_1
ρ	2.54	g cm⁻³
crystal system	monoclinic

Relative stability in meV per atom, measured from the most stable structure: a 0; b 5; c 14

a:
VASP calculation (GGA+U) on a geometry-optimized Mg6NiCO8 structure.

```
Mg6NiCO8
1.0
8.519 0.000 0.000
0.000 4.197 0.000
0.000 0.000 4.197
O C Mg Ni
8 1 6 1
Direct
0.000 0.500 0.000
0.500 0.500 0.000
0.500 0.000 0.500
0.751 0.500 0.500
0.751 0.000 0.000
0.249 0.500 0.500
0.249 0.000 0.000
0.000 0.000 0.500
0.000 0.500 0.500
0.756 0.000 0.500
0.500 0.500 0.500
0.500 0.000 0.000
0.244 0.500 0.000
0.756 0.500 0.000
0.244 0.000 0.500
0.000 0.000 0.000
```

calculated volume	9.4	Å³/atom
space-group type	P4/mmm
ρ	3.81	g cm⁻³
crystal system	tetragonal

b:
VASP calculation (GGA+U) on a geometry-optimized Mg6NiCO8 structure.

```
Mg6NiCO8
1.0
8.488 0.000 0.000
0.000 4.211 0.000
0.000 0.000 4.211
O Mg C Ni
8 6 1 1
Direct
0.000 0.000 0.500
0.250 0.000 0.000
0.000 0.500 0.000
0.251 0.500 0.500
0.750 0.000 0.000
0.500 0.000 0.500
0.500 0.500 0.000
0.749 0.500 0.500
0.748 0.000 0.500
0.500 0.500 0.500
0.252 0.500 0.000
0.748 0.500 0.000
0.252 0.000 0.500
0.000 0.500 0.500
0.500 0.000 0.000
0.000 0.000 0.000
```

calculated volume	9.4	Å³/atom
space-group type	P4/mmm
ρ	3.80	g cm⁻³
crystal system	tetragonal

Relative stability in meV per atom, measured from the most stable structure: a 81; b 0